(1)
Compound: MnGaH4O2F5
Source: the Materials Project database
Functional: PBE+U
Structure: relaxed

Calculated values
Magnetic moment = 0.00 μB per formula unit

Unit cell a=7.640 b=10.975 c=6.665 alpha=90.00 beta=90.00 gamma=90.00
Space group Imma (No. 74)
Asymmetric unit:
Mn  0.000  0.000  0.000
Ga  0.250  0.250  0.250
H  0.103  0.097  0.618
O  0.000  0.077  0.700
F  0.000  0.250  0.315
F  0.215  0.126  0.052

(2)
Compound: BaCaCo4O12
Source: the Materials Project database
Functional: PBE+U
Structure: relaxed

Calculated values
Magnetic moment = 16.55 μB per formula unit

Unit cell a=5.375 b=5.375 c=7.554 alpha=90.00 beta=90.00 gamma=90.00
Space group P4/mmm (No. 123)
Asymmetric unit:
Ba  0.000  0.000  0.000
Ca  0.500  0.500  0.500
Co  0.000  0.500  0.253
O  0.000  0.500  0.000
O  0.000  0.500  0.500
O  0.258  0.258  0.262

(3)
Compound: Sr2CrFeAsO3
Source: the Materials Project database
Functional: PBE+U
Structure: relaxed

Unit cell a=4.012 b=4.012 c=16.286 alpha=90.00 beta=90.00 gamma=90.00
Space group P4/nmm (No. 129, origin choice 2)
Asymmetric unit:
Sr  0.250  0.250  0.085
Sr  0.250  0.250  0.302
Cr  0.250  0.250  0.812
Fe  0.250  0.750  0.500
As  0.250  0.250  0.600
O  0.250  0.250  0.931
O  0.250  0.750  0.205

(4)
Compound: Na2LiMnPCO7
Source: the Materials Project database
Functional: PBE+U
Structure: relaxed

Calculated values
Magnetic moment = 0.00 μB per formula unit
Energy above the most stable polymorph in this dataset = 0.0 meV/atom

Unit cell a=5.177 b=6.804 c=8.902 alpha=92.41 beta=91.56 gamma=90.13
Space group P1 (No. 1)
Asymmetric unit:
Na  0.000  0.000  0.000
Na  0.003  0.510  0.999
Na  0.495  0.984  0.497
Na  0.994  0.270  0.339
Li  0.515  0.736  0.148
Li  0.522  0.451  0.543
Mn  0.524  0.254  0.897
Mn  0.964  0.741  0.613
P  0.028  0.248  0.666
P  0.455  0.748  0.839
C  0.034  0.751  0.298
C  0.482  0.264  0.201
O  0.136  0.763  0.167
O  0.154  0.746  0.824
O  0.187  0.732  0.415
O  0.277  0.262  0.113
O  0.330  0.266  0.678
O  0.461  0.266  0.347
O  0.543  0.576  0.940
O  0.546  0.939  0.927
O  0.565  0.728  0.678
O  0.708  0.264  0.140
O  0.785  0.758  0.312
O  0.914  0.422  0.578
O  0.924  0.248  0.828
O  0.951  0.057  0.574

(5)
Compound: Na2FeO4
Source: the Materials Project database
Functional: PBE+U
Structure: relaxed

Calculated values
Magnetic moment = 2.00 μB per formula unit
Energy above the most stable polymorph in this dataset = 0.0 meV/atom

Unit cell a=5.890 b=9.346 c=7.225 alpha=90.00 beta=90.00 gamma=90.00
Space group Cmcm (No. 63)
Asymmetric unit:
Na  0.000  0.000  0.000
Na  0.000  0.319  0.250
Fe  0.000  0.353  0.750
O  0.000  0.250  0.564
O  0.230  0.458  0.750

(6)
Compound: V3SbP4O16
Source: the Materials Project database
Functional: PBE+U
Structure: relaxed

Calculated values
Magnetic moment = 6.00 μB per formula unit

Unit cell a=5.033 b=6.041 c=10.317 alpha=90.00 beta=90.09 gamma=90.00
Space group Pm (No. 6)
Asymmetric unit:
V  0.000  0.000  0.000
V  0.061  0.500  0.449
V  0.505  0.500  0.962
Sb  0.554  0.000  0.505
P  0.098  0.000  0.315
P  0.433  0.000  0.841
P  0.639  0.500  0.631
P  0.943  0.500  0.128
O  0.167  0.000  0.171
O  0.234  0.202  0.386
O  0.241  0.500  0.103
O  0.294  0.200  0.914
O  0.353  0.500  0.580
O  0.358  0.000  0.699
O  0.648  0.500  0.778
O  0.734  0.000  0.862
O  0.795  0.302  0.056
O  0.797  0.000  0.334
O  0.804  0.304  0.567
O  0.889  0.500  0.274

(7)
Compound: MgVCr2Fe3P6O24
Source: the Materials Project database
Functional: PBE+U
Structure: relaxed

Calculated values
Magnetic moment = 25.00 μB per formula unit
Energy above the most stable polymorph in this dataset = 0.0 meV/atom

Unit cell a=8.490 b=8.622 c=8.712 alpha=92.40 beta=117.52 gamma=119.09
Space group P1 (No. 1)
Asymmetric unit:
Mg  0.000  0.000  0.000
V  0.821  0.503  0.714
Cr  0.114  0.372  0.860
Cr  0.118  0.870  0.378
Fe  0.392  0.714  0.506
Fe  0.422  0.230  0.020
Fe  0.812  0.011  0.220
P  0.299  0.824  0.109
P  0.322  0.316  0.327
P  0.591  0.604  0.892
P  0.638  0.113  0.829
P  0.889  0.902  0.604
P  0.902  0.417  0.402
O  0.053  0.088  0.783
O  0.080  0.614  0.421
O  0.129  0.109  0.289
O  0.138  0.630  0.950
O  0.248  0.969  0.045
O  0.275  0.808  0.275
O  0.277  0.285  0.127
O  0.293  0.471  0.362
O  0.425  0.450  0.928
O  0.452  0.952  0.642
O  0.469  0.657  0.737
O  0.526  0.890  0.161
O  0.527  0.344  0.478
O  0.533  0.171  0.900
O  0.667  0.860  0.529
O  0.684  0.378  0.256
O  0.708  0.534  0.855
O  0.777  0.057  0.973
O  0.782  0.784  0.072
O  0.805  0.277  0.803
O  0.912  0.748  0.667
O  0.925  0.260  0.349
O  0.935  0.428  0.593
O  0.943  0.933  0.454

(8)
Compound: Li9Mn2Co5O16
Source: the Materials Project database
Functional: PBE+U
Structure: relaxed

Calculated values
Magnetic moment = 10.00 μB per formula unit
Energy above the most stable polymorph in this dataset = 46.8 meV/atom

Unit cell a=19.492 b=2.895 c=10.283 alpha=90.00 beta=95.94 gamma=90.00
Space group Cm (No. 8)
Asymmetric unit:
Li  0.000  0.000  0.000
Li  0.000  0.000  0.489
Li  0.121  0.500  0.436
Li  0.236  0.000  0.381
Li  0.236  0.500  0.122
Li  0.239  0.500  0.613
Li  0.241  0.000  0.870
Li  0.497  0.000  0.740
Li  0.499  0.000  0.249
Mn  0.121  0.000  0.677
Mn  0.368  0.000  0.059
Co  0.115  0.000  0.204
Co  0.119  0.500  0.939
Co  0.369  0.000  0.558
Co  0.369  0.500  0.312
Co  0.370  0.500  0.807
O  0.057  0.000  0.330
O  0.061  0.500  0.089
O  0.064  0.000  0.837
O  0.064  0.500  0.601
O  0.175  0.500  0.771
O  0.177  0.000  0.019
O  0.177  0.000  0.544
O  0.178  0.500  0.271
O  0.310  0.500  0.472
O  0.312  0.500  0.979
O  0.315  0.000  0.725
O  0.318  0.000  0.212
O  0.420  0.000  0.903
O  0.424  0.000  0.397
O  0.425  0.500  0.136
O  0.428  0.500  0.647

(9)
Compound: Fe2Si2SbO9
Source: the Materials Project database
Functional: PBE+U
Structure: relaxed

Calculated values
Magnetic moment = 9.00 μB per formula unit

Unit cell a=5.222 b=5.234 c=8.111 alpha=95.51 beta=95.90 gamma=119.03
Space group P1 (No. 1)
Asymmetric unit:
Fe  0.000  0.000  0.000
Fe  0.324  0.671  0.995
Si  0.198  0.214  0.646
Si  0.540  0.869  0.645
Sb  0.742  0.415  0.249
O  0.028  0.684  0.867
O  0.044  0.377  0.131
O  0.241  0.291  0.850
O  0.342  0.516  0.562
O  0.354  0.027  0.584
O  0.373  0.037  0.137
O  0.622  0.907  0.849
O  0.689  0.709  0.128
O  0.844  0.015  0.563

(10)
Compound: Mn2O3
Source: the Materials Project database
Functional: PBE+U
Structure: relaxed

Calculated values
Magnetic moment = 8.00 μB per formula unit

Unit cell a=5.1606 b=5.1606 c=14.0057 alpha=90.00 beta=90.00 gamma=120.00
Space group R-3c (No. 167, hexagonal axes)
Asymmetric unit:
Mn  0.0000  0.0000  0.1495
O  0.0000  0.3035  0.2500

(11)
Compound: Li2MnCr3O8
Source: the Materials Project database
Functional: PBE+U
Structure: relaxed

Calculated values
Magnetic moment = 11.00 μB per formula unit
Energy above the most stable polymorph in this dataset = 14.2 meV/atom

Unit cell a=5.9311 b=5.9311 c=14.3702 alpha=90.00 beta=90.00 gamma=120.00
Space group R-3m (No. 166, hexagonal axes)
Asymmetric unit:
Li  0.0000  0.0000  0.1262
Mn  0.0000  0.0000  0.5000
Cr  0.0000  0.5000  0.0000
O  0.0000  0.0000  0.2651
O  0.0367  0.5184  0.2517

(12)
Compound: KCe2FeO5
Source: the Materials Project database
Functional: PBE+U
Structure: relaxed

Calculated values
Magnetic moment = 5.00 μB per formula unit

Unit cell a=11.042 b=9.200 c=5.959 alpha=90.00 beta=90.00 gamma=90.00
Space group Pna2_1 (No. 33)
Asymmetric unit:
K  0.146  0.003  0.000
Ce  0.115  0.499  0.997
Ce  0.141  0.788  0.482
Fe  0.112  0.245  0.507
O  0.061  0.722  0.136
O  0.071  0.577  0.633
O  0.129  0.023  0.472
O  0.191  0.301  0.799
O  0.205  0.335  0.252

In order of appearance, ΔH_f (0 K) = -2.183; -1.203; -1.974; -2.381; -1.351; -2.554; -2.474; -1.817; -2.265; -1.950; -2.234; -2.816 eV per atom.
In order of appearance, volume = 10.75; 12.12; 16.38; 12.05; 14.20; 13.07; 12.54; 9.02; 13.58; 10.77; 10.42; 16.81 Å³/atom.